No. 1
Compound: Mo2Cl8O
Source: the Materials Project database
Functional: PBE with a Hubbard U
Structure: relaxed

Its uncorrected energy is -173.07 eV/cell. For the formation energy, the calculation gives -0.812 eV/atom. The value obtained for the density is 2.595 g/cm3. The value obtained for the total magnetization is 2.000 μB/f.u.

It has space group P2/c (No. 13), with a = 10.381 Å, b = 6.667 Å, c = 18.466 Å, α = 90.00°, β = 100.20° and γ = 90.00°. Symmetry generates all atoms from Mo at (0.055, 0.039, 0.164), Mo at (0.392, 0.180, 0.627), Cl at (0.000, 0.228, 0.750), Cl at (0.048, 0.342, 0.104), Cl at (0.098, 0.105, 0.927), Cl at (0.153, 0.190, 0.282), Cl at (0.289, 0.316, 0.518), Cl at (0.343, 0.433, 0.701), Cl at (0.410, 0.303, 0.888), Cl at (0.413, 0.136, 0.083), Cl at (0.500, 0.007, 0.750) and O at (0.203, 0.064, 0.646).

***

No. 2
Compound: MoCl2O3
Source: the Materials Project database
Functional: PBE with a Hubbard U
Structure: relaxed

Its uncorrected energy is -231.38 eV/cell. For the formation energy, the calculation gives -0.800 eV/atom. The value obtained for the density is 2.600 g/cm3. Its energy above the most stable polymorph in this dataset is 5 meV/atom. The value obtained for the total magnetization is 2.039 μB/f.u.

It has space group Pnma (No. 62), with a = 15.641 Å, b = 9.493 Å, c = 7.394 Å, α = 90.00°, β = 90.00° and γ = 90.00°. Symmetry generates all atoms from Mo at (0.045, 0.250, 0.201), Mo at (0.204, 0.750, 0.707), Cl at (0.067, 0.012, 0.274), Cl at (0.184, 0.512, 0.781), O at (0.054, 0.250, 0.970), O at (0.065, 0.250, 0.499), O at (0.069, 0.750, 0.759), O at (0.182, 0.250, 0.238), O at (0.189, 0.750, 0.477) and O at (0.193, 0.750, 0.005).